Entry from Materials Project: an optimized crystal structure of Li8CoO5F (PBE with a Hubbard U).

Its space-group type is P1, No. 1. The value obtained for the calculated formation energy is -2.058 eV/atom. The distance to the lowest polymorph of the same formula comes out at 38 meV/atom.

Cell lengths 5.4287, 17.9413, 6.0163 Å; angles 96.46, 113.61, 87.09 degrees
Atoms (fractional coordinates):
Li1 0.4999 0.0283 0.3300
Li2 0.7486 0.2780 0.0799
Li3 0.9976 0.5269 0.8325
Li4 0.2485 0.7774 0.5827
Li5 0.3626 0.1328 0.5297
Li6 0.6162 0.3845 0.2782
Li7 0.8684 0.6338 0.0296
Li8 0.1143 0.8822 0.7817
Li9 0.9494 0.0597 0.5900
Li10 0.1978 0.3101 0.3389
Li11 0.4492 0.5587 0.0802
Li12 0.7003 0.8084 0.8307
Li13 0.4471 0.0733 0.9476
Li14 0.6963 0.3232 0.6967
Li15 0.9442 0.5701 0.4505
Li16 0.1951 0.8200 0.2011
Li17 0.8402 0.1664 0.8038
Li18 0.0896 0.4176 0.5557
Li19 0.3423 0.6687 0.3064
Li20 0.5932 0.9175 0.0542
Li21 0.2845 0.1927 0.1477
Li22 0.5326 0.4433 0.8970
Li23 0.7855 0.6929 0.6490
Li24 0.0371 0.9423 0.4001
Li25 0.9129 0.1164 0.2459
Li26 0.1629 0.3658 0.9940
Li27 0.4096 0.6159 0.7494
Li28 0.6586 0.8667 0.5004
Li29 0.7430 0.2244 0.4328
Li30 0.9890 0.4727 0.1750
Li31 0.2405 0.7228 0.9250
Li32 0.4939 0.9748 0.6828
Co1 0.4584 0.5095 0.4541
Co2 0.7102 0.7594 0.2056
Co3 0.9715 0.0062 0.9651
Co4 0.2198 0.2562 0.7132
O1 0.6519 0.0667 0.6952
O2 0.9010 0.3169 0.4443
O3 0.1623 0.5660 0.2032
O4 0.4131 0.8157 0.9540
O5 0.1963 0.0895 0.1436
O6 0.4456 0.3393 0.8929
O7 0.6956 0.5889 0.6494
O8 0.9459 0.8391 0.4001
O9 0.7869 0.0162 0.2098
O10 0.0349 0.2663 0.9581
O11 0.2745 0.5178 0.7184
O12 0.5261 0.7678 0.4696
O13 0.4397 0.2349 0.5221
O14 0.6948 0.4851 0.2575
O15 0.9481 0.7347 0.0100
O16 0.1928 0.9844 0.7749
O17 0.0498 0.1609 0.5939
O18 0.3036 0.4119 0.3471
O19 0.5553 0.6620 0.0982
O20 0.8009 0.9111 0.8452
F1 0.6176 0.1813 0.0958
F2 0.8673 0.4307 0.8422
F3 0.1177 0.6814 0.5918
F4 0.3675 0.9320 0.3454

***

Entry from Materials Project: an optimized crystal structure of Li4CoO3F (PBE with a Hubbard U).

The value obtained for the calculated formation energy is -2.096 eV/atom. The distance to the lowest polymorph of the same formula comes out at 0 meV/atom.

Cell lengths 5.3710, 10.7455, 6.6962 Å; angles 90.00, 90.00, 94.19 degrees
Atoms (fractional coordinates):
Li1 0.1673 0.4202 0.4951
Li2 0.1673 0.9203 0.4951
Li3 0.1598 0.4163 0.9950
Li4 0.1598 0.9163 0.9950
Li5 0.8327 0.0797 0.9951
Li6 0.8327 0.5798 0.9951
Li7 0.8402 0.0837 0.4950
Li8 0.8402 0.5837 0.4950
Li9 0.5832 0.4460 0.2401
Li10 0.5832 0.9459 0.2401
Li11 0.1082 0.2085 0.7403
Li12 0.1082 0.7085 0.7402
Li13 0.4168 0.0541 0.7401
Li14 0.4168 0.5540 0.7401
Li15 0.8918 0.2915 0.2402
Li16 0.8918 0.7915 0.2402
Co1 0.6221 0.8109 0.8177
Co2 0.3779 0.1891 0.3177
Co3 0.6220 0.3109 0.8177
Co4 0.3780 0.6891 0.3177
O1 0.7918 0.3957 0.0110
O2 0.7918 0.8957 0.0110
O3 0.2082 0.1043 0.5110
O4 0.2082 0.6043 0.5110
O5 0.2660 0.3368 0.2481
O6 0.2660 0.8368 0.2482
O7 0.3265 0.3669 0.7482
O8 0.3265 0.8669 0.7481
O9 0.7340 0.1632 0.7482
O10 0.7340 0.6632 0.7481
O11 0.6735 0.1331 0.2481
O12 0.6735 0.6331 0.2481
F1 0.1916 0.0956 0.9547
F2 0.1917 0.5956 0.9546
F3 0.8083 0.4044 0.4546
F4 0.8084 0.9044 0.4547

***

Entry from Materials Project: an optimized crystal structure of Li4Co3OF11 (PBE with a Hubbard U).

Its space-group type is P1, No. 1. The value obtained for the calculated formation energy is -2.459 eV/atom. The distance to the lowest polymorph of the same formula comes out at 18 meV/atom.

Cell lengths 5.8129, 5.9559, 6.2254 Å; angles 99.75, 100.09, 98.84 degrees
Atoms (fractional coordinates):
Li1 0.6831 0.4284 0.8749
Li2 0.1439 0.3491 0.6080
Li3 0.8756 0.6668 0.3927
Li4 0.3051 0.5741 0.1230
Co1 0.6013 0.1551 0.3410
Co2 0.9777 0.9970 0.9890
Co3 0.4089 0.8487 0.6702
O1 0.6607 0.0098 0.8692
F1 0.0888 0.2923 0.9476
F2 0.3824 0.1533 0.5513
F3 0.9242 0.1358 0.2893
F4 0.4056 0.5788 0.8229
F5 0.8013 0.3930 0.5868
F6 0.2115 0.6075 0.4187
F7 0.5850 0.4030 0.1840
F8 0.0707 0.8688 0.7106
F9 0.6272 0.8530 0.4290
F10 0.9178 0.7032 0.0619
F11 0.3292 0.9822 0.1297

***

Entry from Materials Project: an optimized crystal structure of Li4Co7O2F14 (PBE with a Hubbard U).

Its space-group type is P-1, No. 2. The value obtained for the calculated formation energy is -1.665 eV/atom. The distance to the lowest polymorph of the same formula comes out at 707 meV/atom.

Cell lengths 6.0564, 6.1916, 10.4665 Å; angles 106.96, 89.13, 119.17 degrees
Atoms (fractional coordinates):
Li1 0.4618 0.5853 0.3212
Li2 0.0302 0.8880 0.1881
Li3 0.5382 0.4147 0.6788
Li4 0.9698 0.1120 0.8119
Co1 0.5000 0.0000 0.0000
Co2 0.7413 0.2616 0.2459
Co3 0.0000 0.5000 0.0000
Co4 0.0000 0.0000 0.5000
Co5 0.5000 0.5000 0.0000
Co6 0.0000 0.5000 0.5000
Co7 0.2587 0.7384 0.7541
O1 0.1620 0.4266 0.8903
O2 0.8380 0.5734 0.1097
F1 0.1465 0.8855 0.8788
F2 0.3717 0.1088 0.1216
F3 0.9064 0.1490 0.6147
F4 0.6649 0.9174 0.3687
F5 0.6170 0.3540 0.8776
F6 0.3830 0.6460 0.1224
F7 0.6584 0.3969 0.3722
F8 0.1189 0.3724 0.3767
F9 0.6283 0.8912 0.8784
F10 0.8811 0.6276 0.6233
F11 0.3416 0.6031 0.6278
F12 0.8535 0.1145 0.1212
F13 0.3351 0.0826 0.6313
F14 0.0936 0.8510 0.3853

***

Number 1: energy -4.958 eV per atom. Number 2: energy -5.134 eV per atom. Number 3: energy -4.789 eV per atom. Number 4: energy -4.435 eV per atom.